An optimized crystal structure of GdTiClO3. Source: the Materials Project database, functional GGA-PBE.

The structure in POSCAR format:
```
GdTiClO3
1.0
-4.3172 -2.6260 1.5635
-1.6671 -2.2913 4.4666
-5.8394 6.8808 4.5373
Gd Ti O Cl
2 2 6 2
direct
0.7199 0.7199 0.7941
0.2801 0.2801 0.2059
0.8800 0.8800 0.4337
0.1200 0.1200 0.5663
0.1502 0.1502 0.7416
0.3326 0.3326 0.4390
0.6674 0.6674 0.5610
0.9225 0.9225 0.6221
0.0775 0.0775 0.3779
0.8498 0.8498 0.2584
0.6133 0.6133 0.0960
0.3867 0.3867 0.9040
```

Results
- Formation energy: -3.410 eV per atom
- Volume: 187.3 Å³/cell

***

An optimized crystal structure of Rb2GdCl5. Source: the Materials Project database, functional GGA-PBE.

The structure in POSCAR format:
```
Rb2GdCl5
1.0
-0.2352 6.0349 5.7414
-7.6124 2.9505 -3.4133
-6.8755 -8.1521 8.2871
Cl Rb Gd
20 8 4
direct
0.3434 0.9589 0.9292
0.6537 0.7500 0.8078
0.1537 0.2500 0.6922
0.3864 0.7500 0.1689
0.6136 0.2500 0.8311
0.8864 0.2500 0.3311
0.6566 0.4589 0.0708
0.3999 0.2500 0.4880
0.1566 0.5411 0.4292
0.1001 0.2500 0.9880
0.8463 0.7500 0.3078
0.1136 0.7500 0.6689
0.6566 0.0411 0.0708
0.8999 0.7500 0.0120
0.3434 0.5411 0.9292
0.8434 0.0411 0.5708
0.6001 0.7500 0.5120
0.1566 0.9589 0.4292
0.3463 0.2500 0.1922
0.8434 0.4589 0.5708
0.4473 0.9945 0.6719
0.9473 0.4945 0.8281
0.9473 0.0055 0.8281
0.0527 0.5055 0.1719
0.4473 0.5055 0.6719
0.5527 0.4945 0.3281
0.0527 0.9945 0.1719
0.5527 0.0055 0.3281
0.4302 0.2500 0.9973
0.0698 0.2500 0.4973
0.9302 0.7500 0.5027
0.5698 0.7500 0.0027
```

Results
- Formation energy: -2.547 eV per atom
- Volume: 995.9 Å³/cell

***

An optimized crystal structure of Rb3GdCl6. Source: the Materials Project database, functional GGA-PBE.

The structure in POSCAR format:
```
Rb3GdCl6
1.0
0.0000 5.7850 5.7850
5.7850 0.0000 5.7850
5.7850 5.7850 0.0000
Cl Gd Rb
6 1 3
direct
0.2305 0.2305 0.7695
0.7695 0.2305 0.2305
0.2305 0.7695 0.7695
0.7695 0.7695 0.2305
0.7695 0.2305 0.7695
0.2305 0.7695 0.2305
0.0000 0.0000 0.0000
0.7500 0.7500 0.7500
0.2500 0.2500 0.2500
0.5000 0.5000 0.5000
```

Results
- Formation energy: -2.441 eV per atom
- Volume: 387.2 Å³/cell

***

An optimized crystal structure of Gd2SCl4. Source: the Materials Project database, functional GGA-PBE.

The structure in POSCAR format:
```
Gd2SCl4
1.0
6.2167 0.0004 -2.6081
0.0473 7.5660 0.1032
0.2795 1.4256 9.3757
Cl Gd S
8 4 2
direct
0.2867 0.3465 0.3983
0.8879 0.1532 0.6005
0.7133 0.6535 0.6017
0.7128 0.5032 0.2602
0.1121 0.8468 0.3995
0.4522 0.9981 0.7395
0.2872 0.4968 0.7398
0.5478 0.0019 0.2605
0.1063 0.8182 0.7220
0.3830 0.6815 0.2777
0.6170 0.3185 0.7223
0.8937 0.1818 0.2780
0.8552 0.2492 0.0003
0.1448 0.7508 0.9997
```

Results
- Formation energy: -2.496 eV per atom
- Offset from the most stable computed form: 0.1309 eV per atom
- Volume: 445.4 Å³/cell

***

An optimized crystal structure of Gd2SCl4. Source: the Materials Project database, functional GGA-PBE.

The structure in POSCAR format:
```
Gd2SCl4
1.0
-2.8455 2.4410 7.4046
-1.5895 -3.8380 7.1852
6.1781 1.1311 2.9996
Cl S Gd
8 2 4
direct
0.6904 0.4888 0.0776
0.8626 0.6999 0.3190
0.6999 0.8626 0.8190
0.3001 0.1374 0.1810
0.1374 0.3001 0.6810
0.4888 0.6904 0.5776
0.3096 0.5112 0.9224
0.5112 0.3096 0.4224
0.0637 0.9363 0.2500
0.9363 0.0637 0.7500
0.6869 0.0982 0.0777
0.0982 0.6869 0.5777
0.9018 0.3131 0.4223
0.3131 0.9018 0.9223
```

Results
- Formation energy: -2.627 eV per atom
- Offset from the most stable computed form: 0.0000 eV per atom
- Volume: 338.1 Å³/cell

***

An optimized crystal structure of GeCl4. Source: the Materials Project database, functional GGA-PBE.

The structure in POSCAR format:
```
GeCl4
1.0
-5.7451 -3.9615 0.8342
1.5153 -4.2167 -9.5884
6.1465 -8.4754 2.0816
Cl Ge
16 4
direct
0.4287 0.9050 0.6955
0.6400 0.8027 0.0898
0.4316 0.7011 0.4801
0.9316 0.2989 0.0199
0.5713 0.0950 0.3045
0.0713 0.9050 0.1955
0.5709 0.5831 0.7980
0.8600 0.8027 0.5898
0.4291 0.4169 0.2020
0.3600 0.1973 0.9102
0.1400 0.1973 0.4102
0.5684 0.2989 0.5199
0.0709 0.4169 0.7020
0.9291 0.5831 0.2980
0.9287 0.0950 0.8045
0.0684 0.7011 0.9801
0.4270 0.2520 0.3593
0.9270 0.7480 0.1407
0.0730 0.2520 0.8593
0.5730 0.7480 0.6407
```

Results
- Formation energy: -1.420 eV per atom
- Volume: 774.2 Å³/cell

***

An optimized crystal structure of Ge3Cl8. Source: the Materials Project database, functional GGA-PBE.

The structure in POSCAR format:
```
Ge3Cl8
1.0
0.0000 9.2484 9.2484
9.2484 0.0000 9.2484
9.2484 9.2484 0.0000
Cl Ge
32 12
direct
0.8233 0.0172 0.4467
0.9467 0.5172 0.3233
0.5172 0.2129 0.3233
0.0666 0.0666 0.0666
0.3233 0.2129 0.9467
0.8001 0.0666 0.0666
0.4467 0.7129 0.8233
0.5172 0.9467 0.2129
0.4467 0.8233 0.0172
0.5666 0.5666 0.3001
0.2129 0.3233 0.5172
0.0666 0.0666 0.8001
0.5666 0.5666 0.5666
0.3233 0.9467 0.5172
0.7129 0.8233 0.4467
0.7129 0.0172 0.8233
0.8233 0.4467 0.7129
0.2129 0.5172 0.9467
0.4467 0.0172 0.7129
0.0666 0.8001 0.0666
0.0172 0.7129 0.4467
0.9467 0.2129 0.5172
0.0172 0.4467 0.8233
0.2129 0.9467 0.3233
0.8233 0.7129 0.0172
0.3001 0.5666 0.5666
0.0172 0.8233 0.7129
0.9467 0.3233 0.2129
0.5172 0.3233 0.9467
0.7129 0.4467 0.0172
0.3233 0.5172 0.2129
0.5666 0.3001 0.5666
0.5175 0.8275 0.8275
0.8275 0.5175 0.8275
0.3275 0.3275 0.3275
0.3275 0.3275 0.0175
0.0000 0.0000 0.0000
0.8275 0.8275 0.8275
0.8275 0.8275 0.5175
0.0175 0.3275 0.3275
0.3275 0.0175 0.3275
0.7500 0.7500 0.7500
0.2500 0.2500 0.2500
0.5000 0.5000 0.5000
```

Results
- Formation energy: -1.290 eV per atom
- Volume: 1582.1 Å³/cell

***

An optimized crystal structure of GeH3Cl. Source: the Materials Project database, functional GGA-PBE.

The structure in POSCAR format:
```
GeH3Cl
1.0
0.7425 3.2249 -3.4974
1.5307 2.0885 4.0594
7.8487 -3.2201 -1.3029
H Cl Ge
6 2 2
direct
0.7827 0.4493 0.0404
0.5507 0.2173 0.5404
0.4493 0.7827 0.0404
0.3283 0.3283 0.8697
0.2173 0.5507 0.5404
0.6717 0.6717 0.3697
0.1851 0.1851 0.2563
0.8149 0.8149 0.7563
0.4374 0.4374 0.4505
0.5626 0.5626 0.9505
```

Results
- Largest piezoelectric modulus: 0.219 C/m²
- Formation energy: -0.299 eV per atom
- Volume: 191.4 Å³/cell

***

An optimized crystal structure of Hg2GeS6Cl2O21. Source: the Materials Project database, functional GGA-PBE.

The structure in POSCAR format:
```
Hg2GeS6Cl2O21
1.0
-8.6204 0.3077 7.9316
-1.9665 -12.2574 -1.6618
16.5425 -3.0095 2.6231
O Hg S Ge Cl
84 8 24 4 8
direct
0.2625 0.7139 0.6420
0.5885 0.9873 0.3962
0.7375 0.2139 0.8580
0.1019 0.2400 0.2028
0.5751 0.1061 0.9401
0.5616 0.9529 0.2303
0.7570 0.8000 0.5423
0.5885 0.5127 0.8962
0.8108 0.5281 0.1244
0.9870 0.1460 0.3268
0.8981 0.7600 0.7972
0.2299 0.5936 0.1295
0.8958 0.7022 0.4963
0.7869 0.3093 0.0032
0.1248 0.4404 0.9880
0.3749 0.5243 0.3734
0.7701 0.4064 0.8705
0.4384 0.0471 0.7697
0.6733 0.8023 0.3680
0.7701 0.0936 0.3705
0.8752 0.9404 0.5120
0.8560 0.5872 0.8459
0.3271 0.1679 0.8211
0.4803 0.3840 0.9393
0.6251 0.0243 0.1266
0.8108 0.9719 0.6244
0.9870 0.3540 0.8268
0.8752 0.5596 0.0120
0.4384 0.4529 0.2697
0.3428 0.0540 0.2647
0.5751 0.3939 0.4401
0.1248 0.0596 0.4880
0.5478 0.3262 0.8314
0.7375 0.2861 0.3580
0.5616 0.5471 0.7303
0.6729 0.6679 0.6789
0.8560 0.9128 0.3459
0.3271 0.3321 0.3211
0.0130 0.8540 0.6732
0.1019 0.2600 0.7028
0.2625 0.7861 0.1420
0.3481 0.3581 0.5629
0.6519 0.8581 0.9371
0.5478 0.1738 0.3314
0.6251 0.4757 0.6266
0.6572 0.5540 0.2353
0.6572 0.9460 0.7353
0.1892 0.4719 0.8756
0.5197 0.6160 0.0607
0.7869 0.1907 0.5032
0.0130 0.6460 0.1732
0.4249 0.6061 0.5599
0.9045 0.5915 0.7265
0.6733 0.6977 0.8680
0.3267 0.3023 0.1320
0.8981 0.7400 0.2972
0.4115 0.4873 0.1038
0.8958 0.7978 0.9963
0.2430 0.3000 0.9577
0.4522 0.8262 0.6686
0.2131 0.8093 0.4968
0.9045 0.9085 0.2265
0.2299 0.9064 0.6295
0.4522 0.6738 0.1686
0.4115 0.0127 0.6038
0.3267 0.1977 0.6320
0.3749 0.9757 0.8734
0.5197 0.8840 0.5607
0.1440 0.0872 0.6541
0.2430 0.2000 0.4577
0.6519 0.6419 0.4371
0.3481 0.1419 0.0629
0.7570 0.7000 0.0423
0.1042 0.2978 0.5037
0.0955 0.4085 0.2735
0.6729 0.8321 0.1789
0.0955 0.0915 0.7735
0.4803 0.1160 0.4393
0.3428 0.4460 0.7647
0.1892 0.0281 0.3756
0.4249 0.8939 0.0599
0.1042 0.2022 0.0037
0.2131 0.6907 0.9968
0.1440 0.4128 0.1541
0.1632 0.8502 0.8676
0.1632 0.6498 0.3676
0.1253 0.5882 0.7158
0.8747 0.0882 0.7842
0.8747 0.4118 0.2842
0.8368 0.3502 0.6324
0.1253 0.9118 0.2158
0.8368 0.1498 0.1324
0.4387 0.0629 0.8587
0.4789 0.0781 0.3600
0.2508 0.2751 0.5431
0.1535 0.1526 0.7334
0.2508 0.2249 0.0431
0.8465 0.8474 0.2666
0.1276 0.1013 0.4048
0.7492 0.7249 0.4569
0.4789 0.4219 0.8600
0.8724 0.6013 0.0952
0.2759 0.6918 0.1010
0.1535 0.3474 0.2334
0.5211 0.5781 0.1400
0.4387 0.4371 0.3587
0.5613 0.9371 0.1413
0.8724 0.8987 0.5952
0.7492 0.7751 0.9569
0.7241 0.3082 0.8990
0.2759 0.8082 0.6010
0.1276 0.3987 0.9048
0.5613 0.5629 0.6413
0.5211 0.9219 0.6400
0.8465 0.6526 0.7666
0.7241 0.1918 0.3990
0.7194 0.5513 0.8700
0.2806 0.4487 0.1300
0.7194 0.9487 0.3700
0.2806 0.0513 0.6300
0.2904 0.7827 0.3404
0.7096 0.2173 0.6596
0.2904 0.7173 0.8404
0.9496 0.0314 0.0830
0.0504 0.9686 0.9170
0.9496 0.4686 0.5830
0.0504 0.5314 0.4170
0.7096 0.2827 0.1596
```

Results
- Formation energy: -1.557 eV per atom
- Volume: 1968.6 Å³/cell

***

An optimized crystal structure of InGeCl3. Source: the Materials Project database, functional GGA-PBE.

The structure in POSCAR format:
```
InGeCl3
1.0
6.7598 -3.9446 0.0000
6.7598 3.9446 0.0000
4.4579 0.0000 6.4329
Cl In Ge
6 2 2
direct
0.8068 0.1324 0.3090
0.3090 0.8068 0.1324
0.3068 0.8090 0.6324
0.6324 0.3068 0.8090
0.8090 0.6324 0.3068
0.1324 0.3090 0.8068
0.2102 0.2102 0.2102
0.7102 0.7102 0.7102
0.0131 0.0131 0.0131
0.5131 0.5131 0.5131
```

Results
- Largest piezoelectric modulus: 0.103 C/m²
- Formation energy: -1.188 eV per atom
- Volume: 343.1 Å³/cell

***

An optimized crystal structure of InGeCl3. Source: the Materials Project database, functional GGA-PBE.

The structure in POSCAR format:
```
InGeCl3
1.0
3.7576 4.0841 0.0000
-3.7576 4.0841 0.0000
0.0000 0.0291 5.6476
Ge Cl In
1 3 1
direct
0.5184 0.5184 0.4490
0.4797 0.9578 0.4420
0.4708 0.4708 0.0282
0.9578 0.4797 0.4420
0.0950 0.0950 0.0820
```

Results
- Formation energy: -1.178 eV per atom
- Volume: 173.3 Å³/cell

***

An optimized crystal structure of KGeCl3. Source: the Materials Project database, functional GGA-PBE.

The structure in POSCAR format:
```
KGeCl3
1.0
6.6434 -3.8386 0.0000
6.6434 3.8386 0.0000
4.4254 0.0000 6.2679
K Cl Ge
2 6 2
direct
0.2247 0.2247 0.2247
0.7247 0.7247 0.7247
0.1379 0.3099 0.7893
0.3099 0.7893 0.1379
0.8099 0.6379 0.2893
0.2893 0.8099 0.6379
0.7893 0.1379 0.3099
0.6379 0.2893 0.8099
0.5097 0.5097 0.5097
0.0097 0.0097 0.0097
```

Results
- Largest piezoelectric modulus: 0.365 C/m²
- Formation energy: -1.660 eV per atom
- Volume: 319.7 Å³/cell

***

An optimized crystal structure of KGeCl3. Source: the Materials Project database, functional GGA-PBE.

The structure in POSCAR format:
```
KGeCl3
1.0
3.7593 3.8152 0.0000
-3.7593 3.8152 0.0000
0.0000 0.1198 5.3338
Ge K Cl
1 1 3
direct
0.4782 0.4782 0.4672
0.9960 0.9960 0.9989
0.5003 0.5003 0.0075
0.0236 0.4942 0.4814
0.4942 0.0236 0.4814
```

Results
- Formation energy: -1.632 eV per atom
- Volume: 153.0 Å³/cell

***

An optimized crystal structure of La3Ge3Cl2. Source: the Materials Project database, functional GGA-PBE.

The structure in POSCAR format:
```
La3Ge3Cl2
1.0
2.1655 9.1017 0.0000
-2.1655 9.1017 0.0000
0.0000 1.5678 10.7448
Cl Ge La
4 6 6
direct
0.7013 0.7013 0.1264
0.2264 0.2264 0.3925
0.2987 0.2987 0.8736
0.7736 0.7736 0.6075
0.0960 0.0960 0.7184
0.0702 0.0702 0.9559
0.9040 0.9040 0.2816
0.9758 0.9758 0.6167
0.0242 0.0242 0.3833
0.9298 0.9298 0.0441
0.3832 0.3832 0.4905
0.6837 0.6837 0.8519
0.4680 0.4680 0.8314
0.3163 0.3163 0.1481
0.5320 0.5320 0.1686
0.6168 0.6168 0.5095
```

Results
- Formation energy: -1.572 eV per atom
- Volume: 423.6 Å³/cell